[1]
VASP calculation (PBE) on crystalline Sr2TlHg at its relaxed geometry.

Geometry as CIF:
```
data_Sr2TlHg
_chemical_formula_sum 'Sr8 Tl4 Hg4'
_space_group_name_H-M_alt 'F m -3 m'
_space_group_IT_number 225
_space_group_name_Hall '-F 4 2 3'
_cell_length_a 8.1224
_cell_length_b 8.1224
_cell_length_c 8.1224
_cell_angle_alpha 90.00
_cell_angle_beta 90.00
_cell_angle_gamma 90.00
loop_
_atom_site_label
_atom_site_type_symbol
_atom_site_fract_x
_atom_site_fract_y
_atom_site_fract_z
_atom_site_occupancy
Sr1 Sr 0.2500 0.2500 0.2500 1
Tl1 Tl 0.0000 0.0000 0.0000 1
Hg1 Hg 0.0000 0.0000 0.5000 1
```

* formation energy: -0.487 eV/atom
* final energy: -1.9983 eV per atom

***

[2]
VASP calculation (PBE) on crystalline Cu3As2O8 at its relaxed geometry.

Geometry as CIF:
```
data_Cu3As2O8
_chemical_formula_sum 'Cu3 As2 O8'
_space_group_name_H-M_alt 'P -1'
_space_group_IT_number 2
_space_group_name_Hall '-P 1'
_cell_length_a 5.1141
_cell_length_b 5.5837
_cell_length_c 6.4861
_cell_angle_alpha 71.14
_cell_angle_beta 87.16
_cell_angle_gamma 68.12
loop_
_atom_site_label
_atom_site_type_symbol
_atom_site_fract_x
_atom_site_fract_y
_atom_site_fract_z
_atom_site_occupancy
Cu1 Cu 0.0000 0.0000 0.0000 1
Cu2 Cu 0.2629 0.2020 0.3254 1
As1 As 0.3633 0.3446 0.7823 1
O1 O 0.1409 0.6676 0.6434 1
O2 O 0.2203 0.2053 0.0239 1
O3 O 0.3117 0.6538 0.1594 1
O4 O 0.3807 0.1263 0.6333 1
```

* formation energy: -1.309 eV/atom
* final energy: -5.5943 eV per atom
* distance to the lowest polymorph of the same formula: 0.00 eV per formula unit

***

[3]
VASP calculation (PBE) on crystalline Rb2TlHgF6 at its relaxed geometry.

Geometry as CIF:
```
data_Rb2TlHgF6
_chemical_formula_sum 'Rb8 Tl4 Hg4 F24'
_space_group_name_H-M_alt 'F m -3 m'
_space_group_IT_number 225
_space_group_name_Hall '-F 4 2 3'
_cell_length_a 9.3539
_cell_length_b 9.3539
_cell_length_c 9.3539
_cell_angle_alpha 90.00
_cell_angle_beta 90.00
_cell_angle_gamma 90.00
loop_
_atom_site_label
_atom_site_type_symbol
_atom_site_fract_x
_atom_site_fract_y
_atom_site_fract_z
_atom_site_occupancy
Rb1 Rb 0.2500 0.2500 0.2500 1
Tl1 Tl 0.0000 0.0000 0.0000 1
Hg1 Hg 0.0000 0.0000 0.5000 1
F1 F 0.0000 0.0000 0.2505 1
```

* formation energy: -2.328 eV/atom
* final energy: -3.6625 eV per atom

***

[4]
VASP calculation (PBE) on crystalline ZnSn2O4 at its relaxed geometry.

Geometry as CIF:
```
data_ZnSn2O4
_chemical_formula_sum 'Zn6 Sn12 O24'
_space_group_name_H-M_alt 'R -3 m'
_space_group_IT_number 166
_space_group_name_Hall '-R 3 2"'
_cell_length_a 6.4873
_cell_length_b 6.4873
_cell_length_c 18.5623
_cell_angle_alpha 90.00
_cell_angle_beta 90.00
_cell_angle_gamma 120.00
loop_
_atom_site_label
_atom_site_type_symbol
_atom_site_fract_x
_atom_site_fract_y
_atom_site_fract_z
_atom_site_occupancy
Zn1 Zn 0.0000 0.0000 0.0875 1
Sn1 Sn 0.0000 0.0000 0.5000 1
Sn2 Sn 0.0000 0.5000 0.0000 1
O1 O 0.0000 0.0000 0.2762 1
O2 O 0.0157 0.5079 0.2701 1
```

* formation energy: -1.641 eV/atom
* final energy: -5.4018 eV per atom
* distance to the lowest polymorph of the same formula: 0.97 eV per formula unit

***

[5]
VASP calculation (PBE) on crystalline Na3HfInSiP2O12 at its relaxed geometry.

Geometry as CIF:
```
data_Na3HfInSiP2O12
_chemical_formula_sum 'Na36 Hf12 In12 Si12 P24 O144'
_space_group_name_H-M_alt 'C 1 c 1'
_space_group_IT_number 9
_space_group_name_Hall 'C -2yc'
_cell_length_a 15.8078
_cell_length_b 9.1530
_cell_length_c 22.5262
_cell_angle_alpha 90.00
_cell_angle_beta 90.11
_cell_angle_gamma 90.00
loop_
_atom_site_label
_atom_site_type_symbol
_atom_site_fract_x
_atom_site_fract_y
_atom_site_fract_z
_atom_site_occupancy
Na1 Na 0.0000 0.0021 0.0000 1
Na2 Na 0.1441 0.1719 0.4240 1
Na3 Na 0.1657 0.1287 0.0823 1
Na4 Na 0.1665 0.4936 0.8340 1
Na5 Na 0.1760 0.1906 0.7504 1
Na6 Na 0.3302 0.3611 0.9139 1
Na7 Na 0.3316 0.0125 0.1666 1
Na8 Na 0.3372 0.3068 0.5896 1
Na9 Na 0.4955 0.1396 0.7508 1
Hf1 Hf 0.1571 0.5001 0.4856 1
Hf2 Hf 0.3268 0.0007 0.3190 1
Hf3 Hf 0.4928 0.4935 0.1522 1
In1 In 0.1657 0.4977 0.6875 1
In2 In 0.3280 0.9995 0.0202 1
In3 In 0.4928 0.4904 0.3537 1
Si1 Si 0.1610 0.1989 0.5881 1
Si2 Si 0.1771 0.1504 0.9219 1
Si3 Si 0.3455 0.3502 0.7568 1
P1 P 0.0137 0.3505 0.0914 1
P2 P 0.1418 0.1480 0.2553 1
P3 P 0.3088 0.3527 0.0864 1
P4 P 0.3268 0.2977 0.4246 1
P5 P 0.4759 0.1450 0.9200 1
P6 P 0.4936 0.2008 0.2543 1
O1 O 0.0085 0.1788 0.0928 1
O2 O 0.0153 0.2084 0.8095 1
O3 O 0.0507 0.4064 0.1501 1
O4 O 0.0653 0.4261 0.4254 1
O5 O 0.0679 0.4076 0.7481 1
O6 O 0.0749 0.3877 0.0390 1
O7 O 0.0772 0.0915 0.5914 1
O8 O 0.0855 0.0703 0.9161 1
O9 O 0.0903 0.1238 0.3124 1
O10 O 0.0961 0.0729 0.2015 1
O11 O 0.1488 0.3144 0.2479 1
O12 O 0.1524 0.3075 0.5297 1
O13 O 0.1758 0.3305 0.9256 1
O14 O 0.1772 0.2938 0.6482 1
O15 O 0.2158 0.0787 0.9825 1
O16 O 0.2302 0.0730 0.2596 1
O17 O 0.2406 0.1117 0.8649 1
O18 O 0.2409 0.3854 0.4252 1
O19 O 0.2457 0.0935 0.5863 1
O20 O 0.2485 0.4103 0.7542 1
O21 O 0.2512 0.3697 0.1408 1
O22 O 0.2643 0.4216 0.0308 1
O23 O 0.3185 0.1876 0.3724 1
O24 O 0.3244 0.1887 0.0806 1
O25 O 0.3390 0.2167 0.4839 1
O26 O 0.3413 0.1667 0.7583 1
O27 O 0.3875 0.4078 0.8182 1
O28 O 0.3936 0.4390 0.0932 1
O29 O 0.3991 0.4091 0.4190 1
O30 O 0.4064 0.3894 0.6991 1
O31 O 0.4111 0.1106 0.2594 1
O32 O 0.4204 0.1170 0.9746 1
O33 O 0.4238 0.0899 0.5836 1
O34 O 0.4328 0.0814 0.8633 1
O35 O 0.4849 0.3042 0.1995 1
O36 O 0.4882 0.3121 0.9170 1
```

* formation energy: -2.855 eV/atom
* final energy: -7.0576 eV per atom
* distance to the lowest polymorph of the same formula: 0.00 eV per formula unit

***

[6]
VASP calculation (PBE) on crystalline Na4MgTi2Si2O10 at its relaxed geometry.

Geometry as CIF:
```
data_Na4MgTi2Si2O10
_chemical_formula_sum 'Na8 Mg2 Ti4 Si4 O20'
_space_group_name_H-M_alt 'C 1 m 1'
_space_group_IT_number 8
_space_group_name_Hall 'C -2y'
_cell_length_a 9.6702
_cell_length_b 9.7225
_cell_length_c 5.2364
_cell_angle_alpha 90.00
_cell_angle_beta 92.47
_cell_angle_gamma 90.00
loop_
_atom_site_label
_atom_site_type_symbol
_atom_site_fract_x
_atom_site_fract_y
_atom_site_fract_z
_atom_site_occupancy
Na1 Na 0.0000 0.0000 0.0000 1
Na2 Na 0.0506 0.5000 0.9166 1
Na3 Na 0.2674 0.2446 0.9968 1
Mg1 Mg 0.4681 0.0000 0.3914 1
Ti1 Ti 0.2242 0.0000 0.5683 1
Ti2 Ti 0.2698 0.5000 0.4418 1
Si1 Si 0.0052 0.2418 0.4928 1
O1 O 0.0992 0.3497 0.3127 1
O2 O 0.1056 0.1506 0.6899 1
O3 O 0.2695 0.5000 0.7784 1
O4 O 0.2762 0.0000 0.2351 1
O5 O 0.4062 0.3550 0.3090 1
O6 O 0.4118 0.1455 0.6538 1
```

* formation energy: -2.695 eV/atom
* final energy: -6.7029 eV per atom
* distance to the lowest polymorph of the same formula: 0.01 eV per formula unit

***

[7]
VASP calculation (PBE) on crystalline Cs3AsSe4 at its relaxed geometry.

Geometry as CIF:
```
data_Cs3AsSe4
_chemical_formula_sum 'Cs12 As4 Se16'
_space_group_name_H-M_alt 'P n m a'
_space_group_IT_number 62
_space_group_name_Hall '-P 2ac 2n'
_cell_length_a 10.2560
_cell_length_b 12.2961
_cell_length_c 10.4061
_cell_angle_alpha 90.00
_cell_angle_beta 90.00
_cell_angle_gamma 90.00
loop_
_atom_site_label
_atom_site_type_symbol
_atom_site_fract_x
_atom_site_fract_y
_atom_site_fract_z
_atom_site_occupancy
Cs1 Cs 0.0398 0.0443 0.2023 1
Cs2 Cs 0.1508 0.7500 0.4059 1
As1 As 0.2275 0.7500 0.9783 1
Se1 Se 0.0171 0.7500 0.0717 1
Se2 Se 0.1626 0.0906 0.5417 1
Se3 Se 0.2100 0.7500 0.7526 1
```

* formation energy: -1.077 eV/atom
* final energy: -3.5072 eV per atom

***

[8]
VASP calculation (PBE) on crystalline TmAlAu2 at its relaxed geometry.

Geometry as CIF:
```
data_TmAlAu2
_chemical_formula_sum 'Tm4 Al4 Au8'
_space_group_name_H-M_alt 'F m -3 m'
_space_group_IT_number 225
_space_group_name_Hall '-F 4 2 3'
_cell_length_a 6.7779
_cell_length_b 6.7779
_cell_length_c 6.7779
_cell_angle_alpha 90.00
_cell_angle_beta 90.00
_cell_angle_gamma 90.00
loop_
_atom_site_label
_atom_site_type_symbol
_atom_site_fract_x
_atom_site_fract_y
_atom_site_fract_z
_atom_site_occupancy
Tm1 Tm 0.0000 0.0000 0.0000 1
Al1 Al 0.0000 0.0000 0.5000 1
Au1 Au 0.2500 0.2500 0.2500 1
```

* formation energy: -0.724 eV/atom
* final energy: -4.4167 eV per atom

***

[9]
VASP calculation (PBE) on crystalline LiTi8O16 at its relaxed geometry.

Geometry as CIF:
```
data_LiTi8O16
_chemical_formula_sum 'Li1 Ti8 O16'
_space_group_name_H-M_alt 'P -1'
_space_group_IT_number 2
_space_group_name_Hall '-P 1'
_cell_length_a 5.2736
_cell_length_b 5.5428
_cell_length_c 9.2875
_cell_angle_alpha 90.42
_cell_angle_beta 91.33
_cell_angle_gamma 90.07
loop_
_atom_site_label
_atom_site_type_symbol
_atom_site_fract_x
_atom_site_fract_y
_atom_site_fract_z
_atom_site_occupancy
Li1 Li 0.0000 0.0000 0.0000 1
Ti1 Ti 0.1281 0.1007 0.3706 1
Ti2 Ti 0.1317 0.5836 0.1334 1
Ti3 Ti 0.3616 0.6070 0.6217 1
Ti4 Ti 0.3964 0.1086 0.8611 1
O1 O 0.0387 0.0978 0.7781 1
O2 O 0.0439 0.6043 0.7289 1
O3 O 0.1714 0.3383 0.9957 1
O4 O 0.1783 0.8474 0.5077 1
O5 O 0.3197 0.3494 0.4892 1
O6 O 0.3202 0.8466 0.0081 1
O7 O 0.4557 0.1082 0.2712 1
O8 O 0.4615 0.6061 0.2304 1
```

* formation energy: -3.390 eV/atom
* final energy: -8.7197 eV per atom
* distance to the lowest polymorph of the same formula: 0.11 eV per formula unit

***

[10]
VASP calculation (PBE) on crystalline K2PrAgI6 at its relaxed geometry.

Geometry as CIF:
```
data_K2PrAgI6
_chemical_formula_sum 'K8 Pr4 Ag4 I24'
_space_group_name_H-M_alt 'F m -3 m'
_space_group_IT_number 225
_space_group_name_Hall '-F 4 2 3'
_cell_length_a 12.2974
_cell_length_b 12.2974
_cell_length_c 12.2974
_cell_angle_alpha 90.00
_cell_angle_beta 90.00
_cell_angle_gamma 90.00
loop_
_atom_site_label
_atom_site_type_symbol
_atom_site_fract_x
_atom_site_fract_y
_atom_site_fract_z
_atom_site_occupancy
K1 K 0.2500 0.2500 0.2500 1
Pr1 Pr 0.0000 0.0000 0.0000 1
Ag1 Ag 0.0000 0.0000 0.5000 1
I1 I 0.0000 0.0000 0.2538 1
```

* formation energy: -1.370 eV/atom
* final energy: -3.0401 eV per atom

***

[11]
VASP calculation (PBE) on crystalline Na2Al2Si3H4O12 at its relaxed geometry.

Geometry as CIF:
```
data_Na2Al2Si3H4O12
_chemical_formula_sum 'Na16 Al16 Si24 H32 O96'
_space_group_name_H-M_alt 'F d d 2'
_space_group_IT_number 43
_space_group_name_Hall 'F 2 -2d'
_cell_length_a 18.5749
_cell_length_b 18.8735
_cell_length_c 6.6513
_cell_angle_alpha 90.00
_cell_angle_beta 90.00
_cell_angle_gamma 90.00
loop_
_atom_site_label
_atom_site_type_symbol
_atom_site_fract_x
_atom_site_fract_y
_atom_site_fract_z
_atom_site_occupancy
Na1 Na 0.0303 0.2815 0.0000 1
Al1 Al 0.0384 0.0930 0.7481 1
Si1 Si 0.0000 0.0000 0.1327 1
Si2 Si 0.0958 0.4604 0.0061 1
H1 H 0.0517 0.1450 0.1707 1
H2 H 0.1026 0.1904 0.3141 1
O1 O 0.0233 0.0687 0.0002 1
O2 O 0.0422 0.4023 0.1084 1
O3 O 0.0559 0.1903 0.2446 1
O4 O 0.0696 0.4768 0.7721 1
O5 O 0.0719 0.1803 0.7426 1
O6 O 0.0990 0.0342 0.6329 1
```

* formation energy: -2.687 eV/atom
* final energy: -6.6481 eV per atom
* distance to the lowest polymorph of the same formula: 0.00 eV per formula unit